No. 1
{
  "formula": "Li4MnCo2O7",
  "functional": "PBE+U",
  "state": "relaxed",
  "cell": [[5.1510, 0.0000, 0.0000], [-0.9137, 7.5733, 0.0000], [-2.4553, -3.5065, 6.3972]],
  "species": ["Li", "Li", "Li", "Li", "Li", "Li", "Li", "Li", "Mn", "Mn", "Co", "Co", "Co", "Co", "O", "O", "O", "O", "O", "O", "O", "O", "O", "O", "O", "O", "O", "O"],
  "fractional_positions": [[0.0000, 0.0000, 0.0000], [0.0066, 0.5012, 0.4985], [0.1442, 0.9253, 0.6509], [0.2899, 0.3621, 0.7896], [0.4370, 0.7929, 0.9313], [0.5719, 0.2091, 0.0672], [0.7135, 0.6406, 0.2119], [0.8508, 0.0630, 0.3435], [0.4312, 0.2850, 0.4229], [0.7159, 0.1444, 0.7176], [0.1428, 0.4274, 0.1395], [0.2720, 0.8550, 0.2748], [0.5813, 0.7185, 0.5753], [0.8627, 0.5840, 0.8587], [0.0490, 0.2632, 0.2583], [0.1046, 0.1924, 0.8907], [0.1677, 0.6701, 0.3780], [0.2659, 0.6020, 0.0387], [0.3152, 0.1140, 0.5338], [0.4302, 0.0428, 0.1985], [0.4418, 0.5271, 0.6610], [0.5722, 0.9672, 0.8051], [0.5757, 0.4589, 0.3322], [0.7086, 0.3815, 0.9404], [0.7163, 0.9035, 0.4856], [0.8228, 0.3101, 0.6006], [0.8686, 0.8118, 0.1089], [0.9912, 0.7371, 0.7502]],
  "de_polymorph_mev_per_atom": 37,
  "energy_mp2020_ev_per_atom": -6.5365
}

No. 2
{
  "formula": "Li7Mn4CoO12",
  "functional": "PBE+U",
  "state": "relaxed",
  "cell": [[5.1801, -8.6410, 0.0000], [5.1801, 8.6410, 0.0000], [-1.8831, 0.0000, 4.8025]],
  "species": ["Li", "Li", "Li", "Li", "Li", "Li", "Li", "Li", "Li", "Li", "Li", "Li", "Li", "Li", "Mn", "Mn", "Mn", "Mn", "Mn", "Mn", "Mn", "Mn", "Co", "Co", "O", "O", "O", "O", "O", "O", "O", "O", "O", "O", "O", "O", "O", "O", "O", "O", "O", "O", "O", "O", "O", "O", "O", "O"],
  "fractional_positions": [[0.0002, 0.9998, 0.0000], [0.0058, 0.4987, 0.9853], [0.0875, 0.4119, 0.4948], [0.1742, 0.3322, 0.0047], [0.2536, 0.2536, 0.5048], [0.3335, 0.1729, 0.9995], [0.4235, 0.0866, 0.4931], [0.5013, 0.9942, 0.0147], [0.5015, 0.4985, 0.0000], [0.5881, 0.9125, 0.5052], [0.6678, 0.8258, 0.9953], [0.7464, 0.7464, 0.4952], [0.8271, 0.6665, 0.0005], [0.9134, 0.5765, 0.5069], [0.0822, 0.9178, 0.5000], [0.1650, 0.8350, 0.0000], [0.3360, 0.6640, 0.0000], [0.4189, 0.5811, 0.5000], [0.5858, 0.4142, 0.5000], [0.6666, 0.3334, 0.0000], [0.8369, 0.1631, 0.0000], [0.9170, 0.0830, 0.5000], [0.2527, 0.7473, 0.5000], [0.7518, 0.2482, 0.5000], [0.0228, 0.1922, 0.2587], [0.0492, 0.7271, 0.2369], [0.1165, 0.1155, 0.7192], [0.1370, 0.6398, 0.7736], [0.1979, 0.0195, 0.2616], [0.2188, 0.5363, 0.2652], [0.2729, 0.9508, 0.7631], [0.3067, 0.4775, 0.7415], [0.3602, 0.8630, 0.2264], [0.3876, 0.3802, 0.2806], [0.4637, 0.7812, 0.7348], [0.4795, 0.3019, 0.7406], [0.5225, 0.6933, 0.2585], [0.5521, 0.2146, 0.2768], [0.6198, 0.6123, 0.7194], [0.6464, 0.1430, 0.7505], [0.6981, 0.5205, 0.2594], [0.7179, 0.0479, 0.2785], [0.7854, 0.4479, 0.7232], [0.8078, 0.9772, 0.7413], [0.8570, 0.3536, 0.2495], [0.8845, 0.8835, 0.2808], [0.9521, 0.2821, 0.7215], [0.9805, 0.8021, 0.7384]],
  "de_polymorph_mev_per_atom": 10,
  "energy_mp2020_ev_per_atom": -6.9284
}

No. 3
{
  "formula": "Li4MnCo2O7",
  "functional": "PBE+U",
  "state": "relaxed",
  "cell": [[4.9874, 0.0000, 0.0000], [1.2862, 5.8289, 0.0000], [0.5334, 0.0384, 8.6886]],
  "species": ["Li", "Li", "Li", "Li", "Li", "Li", "Li", "Li", "Mn", "Mn", "Co", "Co", "Co", "Co", "O", "O", "O", "O", "O", "O", "O", "O", "O", "O", "O", "O", "O", "O"],
  "fractional_positions": [[0.0000, 0.0000, 0.0000], [0.0025, 0.4987, 0.0005], [0.1464, 0.2073, 0.7244], [0.2877, 0.9350, 0.4323], [0.4378, 0.6322, 0.1343], [0.5815, 0.3521, 0.8598], [0.7222, 0.0665, 0.5740], [0.8606, 0.7880, 0.2769], [0.2921, 0.4266, 0.4301], [0.8694, 0.2764, 0.2821], [0.1473, 0.7164, 0.7183], [0.4336, 0.1350, 0.1379], [0.5750, 0.8675, 0.8629], [0.7251, 0.5679, 0.5744], [0.0160, 0.2493, 0.4879], [0.1327, 0.4662, 0.2285], [0.1353, 0.0032, 0.2198], [0.3063, 0.1701, 0.9430], [0.3107, 0.6885, 0.9107], [0.4181, 0.8825, 0.6556], [0.4529, 0.3996, 0.6298], [0.5922, 0.1043, 0.3396], [0.6016, 0.5698, 0.3640], [0.7020, 0.8192, 0.0579], [0.7131, 0.3120, 0.0877], [0.8286, 0.0203, 0.7925], [0.8747, 0.5429, 0.7743], [0.9967, 0.7400, 0.5170]],
  "de_polymorph_mev_per_atom": 69,
  "energy_mp2020_ev_per_atom": -6.5043
}

No. 4
{
  "formula": "Li3MnCoO5",
  "functional": "PBE+U",
  "state": "relaxed",
  "cell": [[4.9762, 0.0000, 0.0000], [-0.8625, 5.0741, 0.0000], [-1.6484, -2.8454, 7.0716]],
  "species": ["Li", "Li", "Li", "Li", "Li", "Li", "Mn", "Mn", "Co", "Co", "O", "O", "O", "O", "O", "O", "O", "O", "O", "O"],
  "fractional_positions": [[0.0000, 0.0000, 0.0000], [0.1032, 0.2008, 0.7117], [0.2911, 0.5860, 0.0909], [0.5000, 0.0000, 0.5000], [0.7089, 0.4140, 0.9091], [0.8968, 0.7992, 0.2883], [0.1987, 0.3986, 0.3977], [0.8013, 0.6014, 0.6023], [0.4069, 0.8119, 0.8131], [0.5931, 0.1881, 0.1869], [0.0456, 0.6005, 0.8281], [0.1328, 0.7676, 0.5464], [0.2644, 0.0424, 0.2637], [0.3709, 0.1921, 0.9489], [0.4567, 0.4124, 0.6348], [0.5433, 0.5876, 0.3652], [0.6291, 0.8079, 0.0511], [0.7356, 0.9576, 0.7363], [0.8672, 0.2324, 0.4536], [0.9544, 0.3995, 0.1719]],
  "de_polymorph_mev_per_atom": 67,
  "energy_mp2020_ev_per_atom": -6.5666
}

no.,formation energy (meV per atom)
1,-1847
2,-2074
3,-1815
4,-1893